Entry 1:
A geometry-optimized Sr3Zn structure, computed with PBE.

a = 5.4799 Å, b = 5.4799 Å, c = 5.4799 Å
α = 90.00°, β = 90.00°, γ = 90.00°
Atoms (fractional coordinates):
Sr (0.0000, 0.0000, 0.5000)
Sr (0.0000, 0.5000, 0.0000)
Sr (0.5000, 0.0000, 0.0000)
Zn (0.5000, 0.5000, 0.5000)

Properties
ΔH_f (0 K): 0.33 eV per formula unit
uncorrected energy: -1.50 eV per atom
space group: Pm-3m, No. 221

***

Entry 2:
A geometry-optimized Sr4Zn11 structure, computed with PBE.

a = 11.9732 Å, b = 11.9732 Å, c = 11.9732 Å
α = 136.02°, β = 136.02°, γ = 63.95°
Atoms (fractional coordinates):
Sr (0.1675, 0.1972, 0.5297)
Sr (0.1675, 0.6378, 0.9703)
Sr (0.1972, 0.1675, 0.0297)
Sr (0.3622, 0.8325, 0.5297)
Sr (0.6378, 0.1675, 0.4703)
Sr (0.8028, 0.8325, 0.9703)
Sr (0.8325, 0.3622, 0.0297)
Sr (0.8325, 0.8028, 0.4703)
Zn (0.0000, 0.5000, 0.5000)
Zn (0.1741, 0.3335, 0.3759)
Zn (0.1741, 0.7983, 0.8406)
Zn (0.2017, 0.5423, 0.3759)
Zn (0.2017, 0.8259, 0.6594)
Zn (0.3335, 0.1741, 0.8759)
Zn (0.3335, 0.4577, 0.1594)
Zn (0.3750, 0.6250, 0.7500)
Zn (0.4577, 0.3335, 0.6594)
Zn (0.4577, 0.7983, 0.1241)
Zn (0.5000, 0.0000, 0.0000)
Zn (0.5000, 0.5000, 0.0000)
Zn (0.5000, 0.5000, 0.5000)
Zn (0.5423, 0.2017, 0.8759)
Zn (0.5423, 0.6665, 0.3406)
Zn (0.6250, 0.3750, 0.2500)
Zn (0.6665, 0.5423, 0.8406)
Zn (0.6665, 0.8259, 0.1241)
Zn (0.7983, 0.1741, 0.3406)
Zn (0.7983, 0.4577, 0.6241)
Zn (0.8259, 0.2017, 0.1594)
Zn (0.8259, 0.6665, 0.6241)

Properties
ΔH_f (0 K): 0.50 eV per formula unit
uncorrected energy: -1.34 eV per atom
space group: I4_1/amd, No. 141

***

Entry 3:
A geometry-optimized SrZn2 structure, computed with PBE.

a = 5.9367 Å, b = 5.9367 Å, c = 9.0709 Å
α = 90.00°, β = 90.00°, γ = 120.00°
Atoms (fractional coordinates):
Sr (0.3333, 0.6667, 0.0530)
Sr (0.3333, 0.6667, 0.4470)
Sr (0.6667, 0.3333, 0.5530)
Sr (0.6667, 0.3333, 0.9470)
Zn (0.0000, 0.0000, 0.0000)
Zn (0.0000, 0.0000, 0.5000)
Zn (0.1570, 0.3141, 0.7500)
Zn (0.1570, 0.8430, 0.7500)
Zn (0.3141, 0.1570, 0.2500)
Zn (0.6859, 0.8430, 0.7500)
Zn (0.8430, 0.1570, 0.2500)
Zn (0.8430, 0.6859, 0.2500)

Properties
ΔH_f (0 K): -0.57 eV per formula unit
uncorrected energy: -1.59 eV per atom
space group: P6_3/mmc, No. 194

***

Copy entry 1 word for word.
A geometry-optimized Sr3Zn structure, computed with PBE.

a = 5.4799 Å, b = 5.4799 Å, c = 5.4799 Å
α = 90.00°, β = 90.00°, γ = 90.00°
Atoms (fractional coordinates):
Sr (0.0000, 0.0000, 0.5000)
Sr (0.0000, 0.5000, 0.0000)
Sr (0.5000, 0.0000, 0.0000)
Zn (0.5000, 0.5000, 0.5000)

Properties
ΔH_f (0 K): 0.33 eV per formula unit
uncorrected energy: -1.50 eV per atom
space group: Pm-3m, No. 221